256
Lattice="11.329 -3.705 -5.080 -3.922 7.787 -14.227 7.112 13.959 5.680" Properties=species:S:1:pos:R:3 comment="MoP4H38C13N4Cl4 (PBE, relaxed)" formation_enthalpy_0k_ev_per_atom=-0.28 energy_mp2020_ev_per_cell=-1361.38 vol_a3_per_fu=900.7 pbc="T T T"
H 9.829 7.890 -6.264
H 10.307 -1.584 -6.894
H 9.136 11.455 -8.950
H 10.051 7.367 -4.555
H 11.092 -2.289 -4.369
H 7.774 10.662 -12.735
H 2.823 13.760 -12.624
H 2.674 17.033 -9.401
H 3.234 9.962 -1.968
H 7.241 8.070 -7.762
H 5.384 6.586 -4.677
H 11.538 14.635 -7.742
H 11.253 10.230 -14.621
H 7.911 18.956 -10.908
H 2.965 11.681 -4.080
H 5.063 12.430 -5.693
H 0.069 11.279 -8.307
H 6.175 7.316 -10.816
H 7.000 10.956 2.158
H 11.697 4.281 -1.004
H 15.536 8.737 -2.461
H -2.565 8.539 -14.069
H 11.416 9.917 -0.531
H -1.016 9.304 -11.166
H 5.226 7.761 -1.760
H 11.625 12.173 -10.927
H 5.212 4.983 -3.870
H 16.722 13.222 -4.706
H 11.883 11.076 -13.157
H 13.252 4.819 -1.741
H 3.427 20.330 -9.258
H 12.959 6.634 -6.325
H 11.554 6.361 -9.548
H 6.995 8.832 -10.352
H 6.422 6.511 -8.049
H 10.325 0.291 -4.881
H 8.951 9.516 -13.465
H 8.404 7.532 -5.238
H 4.885 13.630 -2.087
H 11.443 13.224 1.413
H 8.635 15.992 -8.304
H 12.047 10.694 -2.021
H 7.520 7.085 -15.786
H 17.135 8.226 -0.825
H -0.832 7.756 -12.116
H 4.695 14.175 -5.230
H 1.467 6.436 -3.635
H 2.472 7.347 -11.606
H 0.327 3.634 -7.090
H 7.358 1.896 -4.323
H 11.596 14.588 -9.542
H 8.062 1.356 -11.005
H 2.637 6.965 -0.471
H 5.885 2.049 -5.324
H 3.077 4.817 -15.040
H -0.087 3.231 -2.885
H 7.286 0.464 -1.812
H 9.307 13.059 -9.757
H 6.745 7.379 -0.892
H 5.149 11.880 -2.437
H 5.080 12.452 -0.734
H 3.246 16.596 -7.745
H 6.262 1.356 -10.892
H 9.440 5.589 -12.894
H 0.561 8.307 -4.718
H 9.100 9.162 -2.385
H 11.155 17.275 -9.221
H 8.098 11.530 -5.579
H 12.645 8.532 -8.652
H 7.979 17.542 -5.454
H 2.982 3.406 -5.886
H 8.258 16.685 -2.735
H 5.567 7.195 2.213
H 1.822 7.497 -15.482
H 15.352 10.285 -1.512
H 2.173 9.723 -10.232
H 3.266 7.811 0.994
H 8.616 11.662 2.692
H 7.234 17.577 -11.816
H 13.053 11.605 -9.992
H 13.019 14.033 -8.582
H 0.478 1.539 -2.620
H 13.368 6.977 -2.756
H -2.615 9.816 -12.802
H 3.383 -0.158 -2.860
H 8.345 10.725 -2.811
H 11.552 10.570 -10.094
H 14.451 6.762 -5.320
H 11.136 18.199 -10.767
H 6.199 17.504 -5.207
H 9.635 4.411 -11.540
H 11.286 8.079 -11.659
H 2.894 5.868 -2.701
H 7.859 17.608 -8.556
H -0.120 5.011 -11.577
H 6.115 10.509 -8.390
H 12.698 10.544 1.854
H 14.639 13.030 -2.051
H 1.267 13.222 -11.887
H 11.752 7.313 -2.023
H 15.902 12.191 -5.939
H 4.213 19.625 -6.734
H 14.607 14.810 -10.743
H 6.661 0.433 -5.071
H 1.501 4.008 -5.045
H 5.491 5.069 -5.642
H 5.819 7.600 -6.742
H 9.028 12.972 -7.985
H 2.692 6.105 1.113
H 1.152 11.064 -10.872
H 14.495 10.062 -3.088
H 8.701 10.441 -6.885
H 9.294 10.280 -11.868
H 12.346 8.318 -3.395
H 16.091 11.594 -4.248
H 1.669 7.039 -13.191
H 6.541 0.499 -8.173
H 11.828 11.937 -14.741
H 2.768 10.729 -11.604
H 7.161 16.145 -9.304
H 5.903 6.379 -16.320
H 1.560 11.407 -7.303
H 11.846 1.008 -4.227
H 8.320 0.537 -8.420
H 14.193 14.407 -6.537
H 8.953 10.846 -15.841
H 2.967 7.471 -3.534
H 14.042 16.502 -11.008
H 6.608 -0.915 -2.720
H 3.365 0.766 -4.407
H 3.103 8.124 -13.097
H 7.278 9.971 -5.866
H 6.457 16.685 -2.623
H 5.420 8.879 -11.243
H 13.959 9.734 -8.909
H 11.273 1.445 -5.882
H 4.468 10.674 -9.073
H -1.382 5.850 -7.688
H -2.202 4.820 -8.922
H 2.923 3.453 -4.086
H 4.691 10.151 -7.363
H 1.875 9.509 -4.976
H -1.571 6.447 -9.379
H 17.084 9.503 0.441
H 7.524 9.209 -3.276
H 9.371 6.161 -11.191
H 12.850 11.003 -0.436
H 9.824 3.866 -8.398
H 9.457 5.611 -7.934
H 5.569 8.525 -0.163
H 0.025 7.979 -10.540
H 4.195 17.750 -8.746
P 13.440 8.875 -1.330
P 11.292 12.403 -8.593
P 9.652 11.760 -13.757
P 4.868 6.281 0.130
P 14.240 8.599 -6.855
P 0.913 2.944 -0.718
P 13.606 15.097 -12.909
P 0.279 9.442 -6.772
P 14.359 13.256 -4.450
P 5.405 1.107 -3.157
P 5.159 8.365 -8.902
P 9.361 9.676 -4.726
P 0.161 4.785 -9.177
P 1.080 9.166 -12.297
P 9.115 16.935 -10.470
P 3.227 5.639 -5.035
C 9.571 4.575 -7.595
C 7.901 11.520 1.873
C 13.696 16.397 -14.144
C 7.421 -0.098 -8.442
C 6.269 7.553 -7.742
C 14.865 9.561 -2.180
C 8.504 9.691 -3.139
C 14.257 14.725 -5.489
C 8.097 16.635 -9.011
C 6.016 8.350 -10.488
C 5.011 5.557 -4.786
C 6.618 6.522 -15.501
C 12.320 10.259 -1.048
C 9.832 5.436 -11.880
C 3.189 6.845 0.470
C 0.263 3.316 -8.138
C 5.680 7.614 -0.770
C -0.017 2.405 -2.162
C 11.921 14.093 -8.615
C 2.200 7.782 -12.579
C 9.423 7.945 -5.243
C 2.565 6.449 -3.576
C 14.026 6.891 -6.326
C 8.839 10.427 -12.857
C 11.330 11.196 -14.097
C 0.823 1.644 0.516
C 4.688 12.605 -1.747
C 4.948 13.466 -6.032
C 1.882 10.285 -11.132
C 5.681 6.208 1.737
C 15.928 12.477 -4.878
C 3.183 17.394 -8.496
C 11.955 11.592 -10.052
C 11.337 0.647 -5.131
C 2.599 3.948 -5.012
C 10.542 17.884 -9.897
C 12.637 7.756 -2.495
C 0.793 9.326 -5.056
C 8.251 10.488 -5.885
C -0.345 8.480 -11.447
C 6.422 1.406 -4.616
C 6.354 -0.022 -2.127
C 14.537 15.637 -11.465
C 3.978 0.157 -3.731
C 8.166 18.063 -11.501
C 8.839 11.833 -15.364
C 7.098 18.139 -5.186
C 9.509 12.484 -8.841
C 5.097 10.096 -8.384
C 0.494 11.151 -7.302
C -1.408 5.564 -8.750
C 13.727 8.715 -8.572
Cl 4.810 9.529 -4.472
Cl 7.383 13.131 1.317
Cl 4.740 9.795 2.370
Cl 9.779 8.246 -15.997
Cl 8.024 4.047 -6.884
Cl 6.496 13.994 -6.744
Cl 10.492 1.903 -9.880
Cl 7.136 4.910 -14.944
Cl 8.714 10.606 0.576
Cl 6.253 20.103 -8.867
Cl 8.267 -2.062 -4.760
Cl 5.805 7.435 -14.203
Cl 4.028 16.138 -3.747
Cl 9.709 8.512 -9.155
Cl 3.629 13.505 -7.229
Cl 10.891 4.536 -6.398
N 13.802 8.127 0.043
N 9.569 13.145 -12.953
N 11.657 11.661 -7.217
N 10.804 10.356 -4.610
N 2.862 6.380 -6.411
N 13.081 12.298 -4.600
N 1.095 8.428 -7.716
N 1.438 5.744 -9.028
N 9.512 15.563 -11.189
N 2.432 3.310 -1.100
N 5.008 2.478 -2.438
N 4.951 4.896 -0.675
N 0.718 9.914 -13.671
N 3.716 7.685 -9.017
N 13.425 9.614 -5.911
N 12.088 14.731 -12.527
Mo 2.276 7.048 -8.007
Mo 4.254 3.188 -0.879
Mo 10.266 14.853 -12.748
Mo 12.244 10.993 -5.621